Entry 1:
The following is a DFT calculation (PBE) of a relaxed NaHg3 crystal.

```
4
Lattice="0.000 3.741 3.741 3.741 0.000 3.741 3.741 3.741 0.000" Properties=species:S:1:pos:R:3 pbc="T T T"
Na 0.000 0.000 0.000
Hg 1.870 1.870 1.870
Hg 5.611 5.611 5.611
Hg 3.741 3.741 3.741
```

Crystal system: cubic

***

Entry 2:
The following is a DFT calculation (PBE) of a relaxed LiCaTa2O6F crystal.

```
22
Lattice="4.262 6.041 0.128 -4.003 2.678 5.611 3.142 -6.675 0.500" Properties=species:S:1:pos:R:3 pbc="T T T"
Li -2.001 1.339 2.806
Li 1.571 -3.338 0.250
Ca -0.430 -1.999 3.056
Ca 0.130 4.360 2.870
Ta 0.000 0.000 0.000
Ta 1.701 1.022 3.120
Ta 2.131 3.021 0.064
Ta 3.702 -0.317 0.314
O 3.628 4.211 0.589
O 5.570 0.091 0.844
O 3.107 1.792 4.286
O 3.932 -2.221 0.848
O 3.132 0.009 2.194
O 1.935 2.665 2.016
O 0.269 2.035 4.046
O 1.466 -0.621 4.224
O -0.531 4.265 5.392
O 0.294 0.252 1.953
O -0.226 -2.167 5.651
O -2.169 1.953 5.396
F 1.387 -3.294 2.464
F 2.014 5.338 3.775
```

Crystal system: orthorhombic

***

no.,energy of formation from the pure elements (meV per atom),ρ (g/cm³)
1,-187,9.91
2,-3398,6.08